Density functional theory data (PBE) for crystalline SmTh4O10 at its relaxed geometry.

a = 8.8701 Å, b = 8.8701 Å, c = 5.6116 Å
α = 90.00°, β = 90.00°, γ = 90.00°
Space group I4/m (No. 87)
Asymmetric unit:
Sm  0.0000  0.0000  0.0000
Th  0.1008  0.2986  0.5000
O  0.0000  0.5000  0.2500
O  0.1004  0.7982  0.2524

total energy after the MP2020 corrections	-291.23	eV/cell

Density functional theory data (PBE) for crystalline ZnSe2O5 at its relaxed geometry.

a = 6.9198 Å, b = 10.6115 Å, c = 6.1840 Å
α = 90.00°, β = 90.00°, γ = 90.00°
Space group Pbcn (No. 60)
Asymmetric unit:
Zn  0.0000  0.0612  0.2500
Se  0.1355  0.3451  0.0346
O  0.0000  0.4326  0.2500
O  0.1550  0.0664  0.5466
O  0.1991  0.2106  0.1652

total energy after the MP2020 corrections	-175.90	eV/cell

Density functional theory data (PBE) for crystalline SrSiO3 at its relaxed geometry.

a = 3.6989 Å, b = 3.6989 Å, c = 3.6989 Å
α = 90.00°, β = 90.00°, γ = 90.00°
Space group Pm-3m (No. 221)
Asymmetric unit:
Sr  0.0000  0.0000  0.0000
Si  0.5000  0.5000  0.5000
O  0.0000  0.5000  0.5000

total energy after the MP2020 corrections	-37.55	eV/cell

Density functional theory data (PBE) for crystalline TlPt at its relaxed geometry.

a = 6.7580 Å, b = 6.7580 Å, c = 3.8517 Å
α = 90.00°, β = 90.00°, γ = 120.00°
Space group P6/mmm (No. 191)
Asymmetric unit:
Tl  0.0000  0.5000  0.0000
Pt  0.0000  0.0000  0.0000
Pt  0.3333  0.6667  0.5000

E_tot	-3.701	eV per atom

Density functional theory data (PBE) for crystalline ErPaTc2 at its relaxed geometry.

a = 6.8310 Å, b = 6.8310 Å, c = 6.8310 Å
α = 90.00°, β = 90.00°, γ = 90.00°
Space group Fm-3m (No. 225)
Asymmetric unit:
Er  0.0000  0.0000  0.0000
Pa  0.0000  0.0000  0.5000
Tc  0.2500  0.2500  0.2500

E_tot	-8.892	eV per atom

Density functional theory data (PBE) for crystalline Ce2Co3Ge5 at its relaxed geometry.

a = 9.8029 Å, b = 11.6652 Å, c = 5.8316 Å
α = 90.00°, β = 90.00°, γ = 90.00°
Space group Ibam (No. 72)
Asymmetric unit:
Ce  0.2386  0.1333  0.0000
Co  0.0000  0.5000  0.2500
Co  0.1142  0.1362  0.5000
Ge  0.0000  0.0000  0.2500
Ge  0.0000  0.2629  0.2500
Ge  0.1540  0.3997  0.0000

E_tot	-6.232	eV per atom

Density functional theory data (PBE) for crystalline Al3Bi5Br12 at its relaxed geometry.

a = 12.5845 Å, b = 12.5845 Å, c = 31.8692 Å
α = 90.00°, β = 90.00°, γ = 120.00°
Space group R-3c (No. 167, hexagonal axes)
Asymmetric unit:
Al  0.0000  0.4858  0.2500
Bi  0.0000  0.0000  0.1729
Bi  0.0000  0.1488  0.7500
Br  0.0105  0.4127  0.6909
Br  0.0442  0.2087  0.9063

total energy after the MP2020 corrections	-437.26	eV/cell

Density functional theory data (PBE) for crystalline SnCN2 at its relaxed geometry.

a = 3.9032 Å, b = 3.9032 Å, c = 15.2039 Å
α = 90.00°, β = 90.00°, γ = 120.00°
Space group R-3m (No. 166, hexagonal axes)
Asymmetric unit:
Sn  0.0000  0.0000  0.0000
C  0.0000  0.0000  0.5000
N  0.0000  0.0000  0.4183

total energy after the MP2020 corrections	-89.39	eV/cell